# 1
# V2O3F

A relaxed structure of V2O3F (PBE+U, Materials Project).

Results
The total magnetization is 12.000 Bohr magnetons per cell. As for the energy of formation from the pure elements: -2651 meV/atom. For the calculated volume, the calculation gives 66.58 Å³/f.u. As for the total energy after the MP2020 corrections: -8.47 eV per atom.

abc: 4.6894 6.0545 9.8511
angles: 72.35 87.90 89.82
Fractional coordinates of all 24 atoms:
V 0.0000 0.0000 0.0000
V 0.0067 0.5151 0.9932
V 0.4363 0.8996 0.7221
V 0.4884 0.6329 0.2367
V 0.5258 0.1483 0.2476
V 0.5348 0.3663 0.7700
V 0.9322 0.7574 0.4963
V 0.9761 0.2607 0.4887
O 0.1761 0.9527 0.5912
O 0.1899 0.7122 0.0927
O 0.2967 0.0883 0.8392
O 0.3000 0.3185 0.3414
O 0.3044 0.5873 0.8375
O 0.6730 0.1852 0.6458
O 0.6759 0.9495 0.1502
O 0.6844 0.6826 0.6480
O 0.7046 0.4270 0.1420
O 0.7876 0.0505 0.3987
O 0.7934 0.5710 0.3922
O 0.8036 0.3047 0.8951
F 0.1757 0.4691 0.5889
F 0.2056 0.2105 0.0963
F 0.2792 0.8387 0.3489
F 0.7917 0.8110 0.8914


# 2
# V3O4F2

A relaxed structure of V3O4F2 (PBE+U, Materials Project).

Results
The total magnetization is 0.000 Bohr magnetons per cell. As for the energy of formation from the pure elements: -2641 meV/atom. For the calculated volume, the calculation gives 100.00 Å³/f.u. As for the total energy after the MP2020 corrections: -8.29 eV per atom.

abc: 3.0654 10.4664 10.4664
angles: 36.55 90.00 90.00
Fractional coordinates of all 18 atoms:
V 0.0000 0.0000 0.0000
V 0.0000 0.3197 0.3197
V 0.0000 0.6593 0.6593
V 0.5000 0.1604 0.1604
V 0.5000 0.4986 0.4986
V 0.5000 0.8193 0.8193
O 0.0000 0.0203 0.6316
O 0.0000 0.2811 0.7064
O 0.0000 0.6316 0.0203
O 0.0000 0.7064 0.2811
O 0.5000 0.0610 0.0610
O 0.5000 0.2566 0.2566
O 0.5000 0.5965 0.5965
O 0.5000 0.7249 0.7249
F 0.0000 0.3543 0.9644
F 0.0000 0.9644 0.3543
F 0.5000 0.3924 0.3924
F 0.5000 0.9278 0.9278


# 3
# V2O3F

A relaxed structure of V2O3F (PBE+U, Materials Project).

Results
As for the energy of formation from the pure elements: -2662 meV/atom. For the calculated volume, the calculation gives 65.75 Å³/f.u. As for the total energy after the MP2020 corrections: -8.48 eV per atom.

abc: 5.5563 5.5563 8.9642
angles: 92.23 92.23 72.08
Fractional coordinates of all 24 atoms:
V 0.0000 0.0000 0.0000
V 0.1028 0.1028 0.6356
V 0.2585 0.2585 0.2374
V 0.3582 0.3582 0.8540
V 0.5000 0.5000 0.5000
V 0.6418 0.6418 0.1460
V 0.7415 0.7415 0.7626
V 0.8972 0.8972 0.3644
O 0.0289 0.0289 0.2200
O 0.0506 0.4381 0.7412
O 0.1934 0.8066 0.5000
O 0.2278 0.2278 0.0146
O 0.4381 0.0506 0.7412
O 0.4807 0.4807 0.2712
O 0.5193 0.5193 0.7288
O 0.5619 0.9494 0.2588
O 0.7722 0.7722 0.9854
O 0.8066 0.1934 0.5000
O 0.9494 0.5619 0.2588
O 0.9711 0.9711 0.7800
F 0.2707 0.2707 0.4721
F 0.3095 0.6905 0.0000
F 0.6905 0.3095 0.0000
F 0.7293 0.7293 0.5279


# 4
# V3O4F2

A relaxed structure of V3O4F2 (PBE+U, Materials Project).

Results
The total magnetization is 10.000 Bohr magnetons per cell. As for the energy of formation from the pure elements: -2673 meV/atom. For the calculated volume, the calculation gives 100.17 Å³/f.u. As for the total energy after the MP2020 corrections: -8.33 eV per atom.

abc: 5.5789 5.5789 7.4535
angles: 108.97 108.97 70.22
Fractional coordinates of all 18 atoms:
V 0.0000 0.0000 0.0000
V 0.0000 0.0000 0.5000
V 0.3179 0.3179 0.3390
V 0.3326 0.3326 0.8294
V 0.6674 0.6674 0.1706
V 0.6821 0.6821 0.6610
O 0.0287 0.6368 0.3352
O 0.0944 0.0944 0.2951
O 0.2953 0.7047 0.0000
O 0.3632 0.9713 0.6648
O 0.6368 0.0287 0.3352
O 0.7047 0.2953 0.0000
O 0.9056 0.9056 0.7049
O 0.9713 0.3632 0.6648
F 0.2305 0.2305 0.0347
F 0.4414 0.4414 0.6356
F 0.5586 0.5586 0.3644
F 0.7695 0.7695 0.9653


Values of ΔE to the lowest computed polymorph, in order: 19.1, 75.0, 7.7, 43.4, all in meV per atom.